## MgAu5 (PBE-GGA)

Data for a relaxed MgAu5 crystal.

Output
The calculated density comes out at 15.54 g cm⁻³. As for the symmetry: No. 155. The formation energy from the elements comes out at -0.253 eV per atom. For the energy, the calculation gives -3.25 eV per atom.

abc: 5.645 5.645 5.645
angles: 53.51 53.51 53.51
Element x y z (fractional)
Mg (0.500, 0.500, 0.500)
Au (0.167, 0.167, 0.167)
Au (0.666, 0.334, 0.000)
Au (0.833, 0.833, 0.833)
Au (0.000, 0.666, 0.334)
Au (0.334, 0.000, 0.666)